Entry from the Materials Project: a relaxed GdZr3F15 crystal (PBE).

a = 8.259 Å, b = 8.266 Å, c = 16.523 Å
α = 100.19°, β = 100.18°, γ = 100.17°
Positions (direct):
F 0.275 0.281 0.750
Zr 0.252 0.251 0.126
Zr 0.822 0.251 0.337
F 0.568 0.185 0.825
Zr 0.178 0.749 0.663
F 0.497 0.725 0.359
F 0.452 0.746 0.013
F 0.782 0.778 0.000
F 0.150 0.688 0.534
Zr 0.825 0.250 0.840
F 0.224 0.994 0.612
F 0.036 0.153 0.840
F 0.548 0.254 0.987
F 0.725 0.719 0.250
F 0.503 0.275 0.641
F 0.311 0.933 0.924
Zr 0.748 0.749 0.874
F 0.756 0.048 0.238
F 0.447 0.812 0.674
F 0.004 0.772 0.887
F 0.244 0.952 0.762
F 0.318 0.964 0.422
F 0.655 0.536 0.092
F 0.349 0.434 0.406
F 0.054 0.154 0.343
F 0.432 0.815 0.175
F 0.025 0.453 0.367
F 0.946 0.846 0.657
Zr 0.322 0.177 0.373
F 0.975 0.547 0.633
F 0.776 0.005 0.888
Zr 0.245 0.676 0.912
F 0.996 0.228 0.113
F 0.495 0.725 0.860
F 0.823 0.345 0.734
Zr 0.751 0.751 0.377
F 0.689 0.067 0.076
F 0.035 0.466 0.880
Zr 0.249 0.249 0.623
F 0.778 0.774 0.504
F 0.651 0.566 0.594
F 0.964 0.847 0.160
Zr 0.678 0.823 0.627
F 0.473 0.754 0.524
F 0.345 0.464 0.908
F 0.218 0.222 0.000
F 0.776 0.006 0.388
F 0.189 0.652 0.779
F 0.003 0.783 0.389
F 0.682 0.036 0.578
F 0.850 0.314 0.974
F 0.811 0.348 0.221
F 0.150 0.686 0.026
F 0.748 0.033 0.732
Zr 0.755 0.324 0.088
F 0.965 0.534 0.120
F 0.222 0.226 0.496
F 0.725 0.726 0.746
F 0.177 0.655 0.266
F 0.224 0.995 0.112
F 0.527 0.246 0.476
F 0.505 0.275 0.140
F 0.997 0.217 0.611
Gd 0.676 0.822 0.125
F 0.276 0.505 0.136
Gd 0.324 0.178 0.875
F 0.553 0.188 0.326
F 0.850 0.312 0.466
F 0.724 0.493 0.360
Gd 0.750 0.322 0.589
Zr 0.175 0.750 0.160
F 0.275 0.274 0.254
F 0.276 0.507 0.640
Gd 0.250 0.678 0.411
F 0.252 0.967 0.268
F 0.724 0.495 0.864

Properties
Formation energy from the elements (eV/atom): -4.100
Space-group type: P-1, No. 2
Total magnetic moment (μB/cell): 28.00
Energy above the lowest structure with this stoichiometry (eV per formula unit): 0.00